Density functional theory data (GGA-PBE) for a relaxed Na7Y2Mg2P5SO24 crystal.

Values from the calculation:
E_tot, Ry per atom: -0.493
Volume, Å³ per atom: 13.6
E (MP2020), eV per cell: -875.19
Space group: P1, No. 1

a = 9.164 Å, b = 9.188 Å, c = 22.938 Å
α = 90.16°, β = 89.82°, γ = 119.91°
Fractional positions:
O1 0.845 0.526 0.745
O2 0.803 0.976 0.413
O3 0.484 0.140 0.919
O4 0.826 0.010 0.091
O5 0.508 0.850 0.076
O6 0.701 0.145 0.034
O7 0.979 0.195 0.305
O8 0.344 0.853 0.576
O9 0.217 0.021 0.301
O10 0.315 0.478 0.756
O11 0.151 0.492 0.575
O12 0.812 0.027 0.801
O13 0.032 0.205 0.914
O14 0.154 0.466 0.972
O15 0.863 0.505 0.419
O16 0.634 0.527 0.636
O17 0.181 0.213 0.413
O18 0.637 0.510 0.920
O19 0.826 0.814 0.589
O20 0.220 0.193 0.805
O21 0.440 0.301 0.026
O22 0.470 0.104 0.639
O23 0.891 0.526 0.136
O24 0.182 0.010 0.591
O25 0.192 0.976 0.196
O26 0.023 0.213 0.195
O27 0.522 0.648 0.864
O28 0.990 0.173 0.590
O29 0.630 0.102 0.140
O30 0.148 0.656 0.076
O31 0.445 0.147 0.533
O32 0.026 0.816 0.696
O33 0.128 0.643 0.361
O34 0.650 0.137 0.419
O35 0.351 0.873 0.860
O36 0.696 0.555 0.528
O37 0.505 0.655 0.575
O38 0.521 0.869 0.360
O39 0.789 0.816 0.195
O40 0.795 0.812 0.914
O41 0.523 0.834 0.755
O42 0.158 0.483 0.255
O43 0.527 0.696 0.256
O44 0.873 0.371 0.920
O45 0.143 0.679 0.473
O46 0.468 0.142 0.245
O47 0.840 0.314 0.246
O48 0.972 0.781 0.805
O49 0.169 0.970 0.914
O50 0.688 0.531 0.245
O51 0.186 0.173 0.090
O52 0.133 0.485 0.861
O53 0.679 0.153 0.744
O54 0.185 0.215 0.696
O55 0.308 0.840 0.254
O56 0.344 0.493 0.075
O57 0.990 0.816 0.091
O58 0.313 0.459 0.471
O59 0.016 0.820 0.414
O60 0.810 0.784 0.304
O61 0.479 0.366 0.133
O62 0.783 0.970 0.693
O63 0.163 0.687 0.755
O64 0.314 0.853 0.972
O65 0.860 0.301 0.529
O66 0.895 0.367 0.637
O67 0.540 0.849 0.471
O68 0.857 0.559 0.029
O69 0.354 0.485 0.366
O70 0.475 0.320 0.745
O71 0.539 0.683 0.970
O72 0.488 0.367 0.420
P1 0.665 0.023 0.085
P2 0.699 0.993 0.747
P3 0.360 0.334 0.081
P4 0.046 0.666 0.417
P5 0.973 0.642 0.083
P6 0.699 0.706 0.249
P7 0.977 0.333 0.583
P8 0.333 0.955 0.916
P9 0.004 0.706 0.749
P10 0.007 0.302 0.249
P11 0.358 0.026 0.584
P12 0.296 0.301 0.749
P13 0.665 0.641 0.582
P14 0.051 0.384 0.917
P15 0.619 0.953 0.415
Na1 0.632 0.640 0.749
Na2 0.035 0.334 0.084
Na3 0.003 0.993 0.505
Na4 0.362 0.992 0.752
Na5 0.299 0.965 0.080
Na6 0.703 0.674 0.418
Na7 0.984 0.669 0.917
Na8 0.299 0.332 0.586
Na9 0.035 0.702 0.583
Na10 0.642 0.995 0.252
Na11 0.335 0.650 0.168
Na12 0.001 0.629 0.254
Na13 0.666 0.700 0.086
Na14 0.328 0.298 0.919
Na15 0.000 0.007 0.004
Na16 0.663 0.330 0.333
Na17 0.668 0.317 0.834
Na18 0.008 0.369 0.752
Na19 0.965 0.306 0.415
Na20 0.334 0.668 0.667
Na21 0.667 0.964 0.584
Y1 0.667 0.333 0.680
Y2 0.998 0.005 0.851
Y3 0.664 0.325 0.484
Y4 0.668 0.321 0.984
Y5 0.666 0.338 0.181
Y6 0.000 0.997 0.351
Mg1 0.328 0.671 0.817
Mg2 0.993 0.005 0.151
Mg3 0.334 0.662 0.317
Mg4 0.326 0.668 0.016
Mg5 0.999 0.000 0.652
Mg6 0.335 0.679 0.516
S1 0.334 0.384 0.417
S2 0.619 0.666 0.917
S3 0.294 0.995 0.248